1.
Here is a geometry-optimized In2AgSe3I structure from the Materials Project database. Energies are from PBE.

Output
For the calculated total energy, the calculation gives -47.00 eV/cell. As for the crystal system: monoclinic. The value obtained for the energy above the most stable polymorph in this dataset is 0 kJ/mol of formula units.

Unit cell a=14.209 b=4.233 c=7.723 alpha=90.00 beta=98.83 gamma=90.00
Space group Cm (No. 8)
Unique sites:
In 0.000 0.000 0.000
In 0.248 0.000 0.758
Ag 0.004 0.500 0.488
Se 0.061 0.000 0.692
Se 0.064 0.500 0.180
Se 0.308 0.500 0.954
I 0.299 0.000 0.428

=====

2.
Here is a geometry-optimized CeMg6Al structure from the Materials Project database. Energies are from PBE.

Output
For the calculated total energy, the calculation gives -19.20 eV/cell. As for the crystal system: monoclinic. The value obtained for the energy above the most stable polymorph in this dataset is 0 kJ/mol of formula units.

Unit cell a=6.360 b=4.893 c=6.609 alpha=90.00 beta=109.36 gamma=90.00
Space group Pm (No. 6)
Unique sites:
Ce 0.000 0.000 0.000
Mg 0.029 0.000 0.495
Mg 0.192 0.500 0.773
Mg 0.476 0.000 0.895
Mg 0.510 0.000 0.414
Mg 0.676 0.500 0.701
Mg 0.702 0.500 0.199
Al 0.229 0.500 0.289

=====

3.
Here is a geometry-optimized Nb4Al5Co3 structure from the Materials Project database. Energies are from PBE.

Output
For the calculated total energy, the calculation gives -84.30 eV/cell. As for the crystal system: hexagonal.

Unit cell a=5.0505 b=5.0505 c=7.9911 alpha=90.00 beta=90.00 gamma=120.00
Space group P-6m2 (No. 187)
Unique sites:
Nb 0.0000 0.0000 0.1735
Nb 0.3333 0.6667 0.2988
Al 0.3274 0.1637 0.5000
Al 0.6667 0.3333 0.2242
Co 0.0195 0.5097 0.0000

=====

4.
Here is a geometry-optimized H9PbC3I structure from the Materials Project database. Energies are from PBE.

Output
For the calculated total energy, the calculation gives -257.71 eV/cell. As for the crystal system: orthorhombic.

Unit cell a=6.701 b=10.594 c=11.541 alpha=90.00 beta=90.00 gamma=90.00
Space group P2_12_12_1 (No. 19)
Unique sites:
H 0.057 0.024 0.445
H 0.077 0.219 0.021
H 0.122 0.339 0.680
H 0.136 0.230 0.800
H 0.190 0.176 0.655
H 0.195 0.838 0.585
H 0.214 0.887 0.933
H 0.239 0.984 0.335
H 0.242 0.327 0.096
Pb 0.021 0.193 0.261
C 0.171 0.060 0.386
C 0.184 0.231 0.092
C 0.197 0.256 0.715
I 0.179 0.436 0.379

=====

5.
Here is a geometry-optimized Nb12IrAu3 structure from the Materials Project database. Energies are from PBE.

Output
For the calculated total energy, the calculation gives -142.40 eV/cell. As for the crystal system: orthorhombic.

Unit cell a=5.223 b=5.239 c=10.490 alpha=90.00 beta=90.00 gamma=90.00
Space group Pmmm (No. 47)
Unique sites:
Nb 0.000 0.000 0.122
Nb 0.000 0.000 0.374
Nb 0.249 0.500 0.500
Nb 0.255 0.500 0.000
Nb 0.500 0.246 0.248
Ir 0.500 0.000 0.000
Au 0.000 0.500 0.249
Au 0.500 0.000 0.500

=====

6.
Here is a geometry-optimized NaBeO3 structure from the Materials Project database. Energies are from PBE.

Output
For the calculated total energy, the calculation gives -24.49 eV/cell. As for the crystal system: cubic.

Unit cell a=3.589 b=3.589 c=3.589 alpha=90.00 beta=90.00 gamma=90.00
Space group Pm-3m (No. 221)
Unique sites:
Na 0.000 0.000 0.000
Be 0.500 0.500 0.500
O 0.000 0.500 0.500

=====

7.
Here is a geometry-optimized Zr2CuGe4 structure from the Materials Project database. Energies are from PBE.

Output
For the calculated total energy, the calculation gives -172.29 eV/cell. As for the crystal system: orthorhombic.

Unit cell a=3.837 b=33.559 c=3.812 alpha=90.00 beta=90.00 gamma=90.00
Space group Cmcm (No. 63)
Unique sites:
Zr 0.000 0.047 0.250
Zr 0.000 0.322 0.250
Cu 0.000 0.250 0.750
Ge 0.000 0.113 0.750
Ge 0.000 0.202 0.250
Ge 0.000 0.387 0.750
Ge 0.000 0.473 0.250

=====

8.
Here is a geometry-optimized MgCu2Sb4O12 structure from the Materials Project database. Energies are from PBE.

Output
For the calculated total energy, the calculation gives -107.31 eV/cell. As for the crystal system: monoclinic. The value obtained for the energy above the most stable polymorph in this dataset is 200 kJ/mol of formula units.

Unit cell a=5.002 b=9.462 c=5.019 alpha=90.00 beta=90.27 gamma=90.00
Space group P2 (No. 3)
Unique sites:
Mg 0.000 0.000 0.000
Cu 0.000 0.745 0.500
Cu 0.500 0.247 0.000
Sb 0.000 0.098 0.500
Sb 0.000 0.427 0.500
Sb 0.500 0.566 0.000
Sb 0.500 0.894 0.000
O 0.181 0.255 0.307
O 0.200 0.922 0.293
O 0.204 0.575 0.298
O 0.295 0.071 0.799
O 0.298 0.418 0.796
O 0.306 0.737 0.817

=====

9.
Here is a geometry-optimized Li3Ti2P3O12 structure from the Materials Project database. Energies are from PBE.

Output
For the calculated total energy, the calculation gives -584.25 eV/cell. As for the crystal system: monoclinic. The value obtained for the energy above the most stable polymorph in this dataset is 38 kJ/mol of formula units.

Unit cell a=8.294 b=5.473 c=18.615 alpha=90.00 beta=90.44 gamma=90.00
Space group C2/m (No. 12)
Unique sites:
Li 0.000 0.000 0.168
Li 0.170 0.500 0.246
Li 0.171 0.500 0.912
Ti 0.000 0.000 0.000
Ti 0.000 0.000 0.500
Ti 0.002 0.000 0.336
P 0.149 0.500 0.081
P 0.152 0.500 0.747
P 0.154 0.500 0.417
O 0.033 0.272 0.077
O 0.036 0.271 0.741
O 0.042 0.268 0.418
O 0.232 0.000 0.318
O 0.236 0.000 0.517
O 0.243 0.000 0.987
O 0.245 0.000 0.653
O 0.247 0.500 0.817
O 0.250 0.000 0.851

=====

10.
Here is a geometry-optimized NbNi structure from the Materials Project database. Energies are from PBE.

Output
For the calculated total energy, the calculation gives -635.24 eV/cell. As for the crystal system: trigonal.

Unit cell a=4.9027 b=4.9027 c=53.3359 alpha=90.00 beta=90.00 gamma=120.00
Space group R-3m (No. 166, hexagonal axes)
Unique sites:
Nb 0.0000 0.0000 0.0000
Nb 0.0000 0.0000 0.0845
Nb 0.0000 0.0000 0.1730
Nb 0.0000 0.0000 0.2248
Nb 0.0000 0.0000 0.2737
Nb 0.0000 0.0000 0.3266
Nb 0.0000 0.0000 0.4180
Ni 0.0000 0.0000 0.5000
Ni 0.9997 0.4998 0.2040
Ni 0.0040 0.5020 0.2936

=====

11.
Here is a geometry-optimized Rb4Hg3Ge20 structure from the Materials Project database. Energies are from PBE.

Output
For the calculated total energy, the calculation gives -199.77 eV/cell. As for the crystal system: cubic.

Unit cell a=11.171 b=11.171 c=11.171 alpha=90.00 beta=90.00 gamma=90.00
Space group Pm-3n (No. 223)
Unique sites:
Rb 0.000 0.000 0.000
Rb 0.000 0.250 0.500
Hg 0.000 0.500 0.250
Ge 0.000 0.302 0.114
Ge 0.183 0.183 0.183

=====

12.
Here is a geometry-optimized MnRePt structure from the Materials Project database. Energies are from PBE.

Output
For the calculated total energy, the calculation gives -103.74 eV/cell. As for the crystal system: cubic.

Unit cell a=5.858 b=5.858 c=5.858 alpha=90.00 beta=90.00 gamma=90.00
Space group F-43m (No. 216)
Unique sites:
Mn 0.000 0.000 0.000
Re 0.000 0.000 0.500
Pt 0.250 0.250 0.750

=====

Calculated energy of formation, -504, 10, -320, -96, -158, -1330, -484, -1572, -2859, -203, -96, 581 meV/atom (same order as the records).